Compound: Na5Ga3F14
Source: the Materials Project database
Functional: GGA-PBE
Structure: relaxed

Values from the calculation:
Formation enthalpy at 0 K ... -3.013 eV per atom
Total energy after the MP2020 corrections ... -4.944 eV per atom

The structure in POSCAR format:
```
Na5Ga3F14
1.0
-2.528 1.466 6.741
1.596 -6.913 2.102
11.206 -3.659 4.998
Ga F Na
6 28 10
direct
0.500 0.000 0.000
0.500 0.000 0.500
0.000 0.000 0.500
0.000 0.000 0.000
0.500 0.500 0.500
0.000 0.500 0.000
0.837 0.604 0.862
0.009 0.313 0.383
0.578 0.752 0.501
0.060 0.044 0.629
0.044 0.814 0.176
0.798 0.352 0.111
0.544 0.186 0.324
0.991 0.687 0.617
0.663 0.604 0.362
0.560 0.956 0.871
0.440 0.044 0.129
0.253 0.970 0.460
0.456 0.814 0.676
0.747 0.030 0.540
0.202 0.648 0.889
0.491 0.313 0.883
0.922 0.752 0.001
0.078 0.248 0.999
0.753 0.030 0.040
0.298 0.648 0.389
0.956 0.186 0.824
0.940 0.956 0.371
0.509 0.687 0.117
0.422 0.248 0.499
0.337 0.396 0.638
0.163 0.396 0.138
0.702 0.352 0.611
0.247 0.970 0.960
0.000 0.500 0.500
0.235 0.518 0.759
0.701 0.989 0.249
0.765 0.482 0.241
0.201 0.011 0.251
0.265 0.518 0.259
0.500 0.500 0.000
0.799 0.989 0.749
0.299 0.011 0.751
0.735 0.482 0.741
```



Compound: Na7La2In2SiP5O24
Source: the Materials Project database
Functional: GGA-PBE
Structure: relaxed

Values from the calculation:
Magnetization ... 0.000 μB/atom
Formation enthalpy at 0 K ... -2.780 eV per atom
Total energy after the MP2020 corrections ... -7.069 eV per atom

The structure in POSCAR format:
```
Na7La2In2SiP5O24
1.0
-6.026 -3.659 -6.304
6.100 -5.618 4.487
-15.353 -3.411 16.677
O Na In P La Si
72 21 6 15 6 3
direct
0.999 0.208 0.310
0.176 0.476 0.252
0.564 0.874 0.474
0.443 0.134 0.524
0.652 0.156 0.752
0.698 0.113 0.022
0.493 0.128 0.916
0.876 0.321 0.526
0.136 0.662 0.355
0.172 0.677 0.081
0.224 0.195 0.794
0.495 0.645 0.576
0.682 0.530 0.251
0.810 0.796 0.302
0.127 0.460 0.863
0.772 0.792 0.191
0.525 0.868 0.363
0.154 0.190 0.413
0.851 0.509 0.751
0.235 0.256 0.687
0.026 0.782 0.697
0.813 0.986 0.412
0.032 0.833 0.411
0.498 0.828 0.755
0.497 0.362 0.748
0.162 0.494 0.571
0.801 0.827 0.582
0.316 0.486 0.755
0.160 0.979 0.580
0.450 0.090 0.639
0.178 0.967 0.923
0.879 0.518 0.411
0.526 0.834 0.077
0.203 0.011 0.310
0.541 0.666 0.861
0.329 0.458 0.355
0.150 0.695 0.466
0.460 0.323 0.409
0.124 0.464 0.976
0.340 0.831 0.574
0.663 0.522 0.915
0.314 0.450 0.467
0.157 0.661 0.757
0.829 0.011 0.090
0.522 0.677 0.253
0.798 0.021 0.809
0.533 0.658 0.973
0.340 0.865 0.975
0.456 0.150 0.252
0.183 0.973 0.199
0.645 0.568 0.645
0.866 0.369 0.916
0.916 0.366 0.635
0.869 0.341 0.254
0.868 0.572 0.028
0.897 0.529 0.140
0.766 0.982 0.693
0.692 0.552 0.538
0.007 0.839 0.091
0.425 0.288 0.040
0.336 0.490 0.082
0.006 0.186 0.580
0.656 0.136 0.413
0.799 0.829 0.922
0.336 0.866 0.863
0.450 0.361 0.147
0.985 0.771 0.807
0.017 0.213 0.199
0.168 0.186 0.095
0.624 0.099 0.127
0.303 0.835 0.254
0.000 0.195 0.923
0.964 0.295 0.411
0.369 0.371 0.253
0.666 0.332 0.331
0.999 0.362 0.759
0.330 0.031 0.417
0.680 0.698 0.083
0.633 0.652 0.751
0.651 0.327 0.831
0.343 0.682 0.666
0.646 0.962 0.583
0.962 0.666 0.922
0.990 0.982 0.499
0.360 0.983 0.751
0.302 0.969 0.084
0.044 0.692 0.577
0.303 0.333 0.576
0.004 0.634 0.250
0.031 0.346 0.086
0.703 0.036 0.914
0.014 0.009 0.008
0.344 0.684 0.166
0.333 0.661 0.018
0.345 0.674 0.314
0.992 0.996 0.156
0.990 0.993 0.350
0.335 0.663 0.820
0.342 0.670 0.509
0.637 0.961 0.415
0.033 0.374 0.920
0.630 0.667 0.918
0.669 0.015 0.079
0.346 0.331 0.091
0.989 0.341 0.578
0.048 0.676 0.411
0.013 0.305 0.254
0.287 0.993 0.254
0.660 0.649 0.586
0.336 0.957 0.919
0.317 0.359 0.410
0.699 0.704 0.250
0.003 0.681 0.754
0.319 0.325 0.746
0.670 0.323 0.184
0.664 0.326 0.675
0.663 0.342 0.479
0.658 0.337 0.988
0.001 0.001 0.655
0.010 0.012 0.852
0.987 0.655 0.085
0.347 0.009 0.579
0.678 0.997 0.753
```



What uncorrected energy values result from the calculations? In sequence: -4.6504; -6.6672 eV/atom.